# TiNi

A relaxed TiNi crystal (PBE, Materials Project).

Unit cell a=6.1580 b=6.1580 c=11.5348 alpha=90.00 beta=90.00 gamma=90.00
Space group I4/mmm (No. 139)
Symmetry-distinct sites (fractional):
Ti 0.0000 0.0000 0.0000 (multiplicity 2)
Ti 0.0000 0.0000 0.2282 (multiplicity 4)
Ti 0.0000 0.0000 0.5000 (multiplicity 2)
Ti 0.0000 0.5000 0.0000 (multiplicity 4)
Ti 0.0000 0.5000 0.2500 (multiplicity 4)
Ni 0.2246 0.2246 0.3701 (multiplicity 16)

Output
ΔH_f (0 K): -361 meV/atom

# TiNi

A relaxed TiNi crystal (PBE, Materials Project).

Unit cell a=2.9155 b=4.0550 c=4.7541 alpha=90.00 beta=100.93 gamma=90.00
Space group P2_1/m (No. 11)
Symmetry-distinct sites (fractional):
Ti 0.1045 0.2500 0.2847 (multiplicity 2)
Ni 0.4433 0.2500 0.8280 (multiplicity 2)

Output
ΔH_f (0 K): -396 meV/atom